Entry from the Materials Project database: crystalline Rb2Te at its relaxed geometry (PBE).

abc: 8.1636 6.1277 10.6712
angles: 90.00 90.00 90.00
Last column: nearest neighbours and their distance in Å.
Space group Pnma (No. 62)
Asymmetric unit:
Rb  0.0024  0.2500  0.2424 [4 per cell]  6 Te 4.02-4.21, 8 Rb 4.08-4.12
Rb  0.2403  0.2500  0.5828 [4 per cell]  3 Te 3.55
Te  0.2467  0.2500  0.9155 [4 per cell]  3 Rb 3.55

Values from the calculation:
The total energy is -0.19419 Ry/atom. The calculation puts the density at 3.71 Mg/m³.

Entry from the Materials Project database: crystalline MgCuGe at its relaxed geometry (PBE).

abc: 4.0053 4.0053 6.3948
angles: 90.00 90.00 90.00
Last column: nearest neighbours and their distance in Å.
Space group P4/nmm (No. 129, origin choice 2)
Asymmetric unit:
Mg  0.2500  0.7500  0.0000 [2 per cell]  4 Cu 2.76, 4 Mg 2.83, 4 Ge 2.87
Cu  0.2500  0.2500  0.2980 [2 per cell]  1 Ge 2.43
Ge  0.2500  0.2500  0.6780 [2 per cell]  1 Cu 2.43

Values from the calculation:
The total energy is -0.24713 Ry/atom. The size of the total moment comes out at 0.0 μB per cell. The calculation puts the density at 5.20 Mg/m³.

Entry from the Materials Project database: crystalline Ti2Al at its relaxed geometry (PBE).

abc: 6.3100 6.3100 6.3100
angles: 90.00 90.00 90.00
Last column: nearest neighbours and their distance in Å.
Space group F-43m (No. 216)
Asymmetric unit:
Ti  0.0000  0.0000  0.0000 [4 per cell]  4 Ti 2.73
Ti  0.2500  0.2500  0.2500 [4 per cell]  4 Al 2.73, 4 Ti 2.73
Al  0.0000  0.0000  0.5000 [4 per cell]  4 Ti 2.73

Values from the calculation:
The total energy is -0.43656 Ry/atom. The size of the total moment comes out at 12.0 μB per cell. The calculation puts the density at 3.24 Mg/m³.

Entry from the Materials Project database: crystalline NaO at its relaxed geometry (PBE).

abc: 6.2794 6.2794 4.5069
angles: 90.00 90.00 120.00
Last column: nearest neighbours and their distance in Å.
Space group P-62m (No. 189)
Asymmetric unit:
Na  0.0000  0.3002  0.0000 [3 per cell]  6 O 2.34-2.40
Na  0.0000  0.6344  0.5000 [3 per cell]  6 O 2.42-2.49
O  0.0000  0.0000  0.3295 [2 per cell]  1 O 1.54
O  0.3333  0.6667  0.1724 [4 per cell]  1 O 1.55

Values from the calculation:
The total energy is -0.30946 Ry/atom. The piezoelectric modulus e_max comes out at 0.3 C/m². The calculation puts the density at 2.52 Mg/m³.

Entry from the Materials Project database: crystalline Ba2ErZn2CuO7 at its relaxed geometry (PBE).

abc: 3.9221 4.0025 11.6513
angles: 90.00 90.00 90.00
Last column: nearest neighbours and their distance in Å.
Space group Pmmm (No. 47)
Asymmetric unit:
Ba  0.0000  0.0000  0.1805 [2 per cell]  10 O 2.81-3.07
Er  0.0000  0.0000  0.5000 [1 per cell]  8 O 2.41-2.44
Zn  0.5000  0.5000  0.3432 [2 per cell]  5 O 2.01-2.11
Cu  0.5000  0.5000  0.0000 [1 per cell]  4 O 1.89-2.00
O  0.0000  0.5000  0.3803 [2 per cell]  2 Zn 2.01
O  0.5000  0.0000  0.0000 [1 per cell]  2 Cu 2.00
O  0.5000  0.0000  0.3796 [2 per cell]  2 Zn 2.05
O  0.5000  0.5000  0.1619 [2 per cell]  1 Cu 1.89, 1 Zn 2.11

Values from the calculation:
The total energy is -0.42911 Ry/atom. The size of the total moment comes out at 0.0 μB per cell. The calculation puts the density at 6.79 Mg/m³.

Entry from the Materials Project database: crystalline As3W2 at its relaxed geometry (PBE).

abc: 13.4980 3.3082 9.7010
angles: 90.00 124.78 90.00
Last column: nearest neighbours and their distance in Å.
Space group C2/m (No. 12)
Asymmetric unit:
As  0.0840  0.0000  0.3133 [4 per cell]  4 W 2.55-2.62
As  0.1061  0.5000  0.6307 [4 per cell]  1 As 2.52, 4 W 2.59-2.63
As  0.1249  0.5000  0.0468 [4 per cell]  4 W 2.55-2.63
W  0.1527  0.0000  0.8711 [4 per cell]  6 As 2.55-2.63
W  0.2472  0.5000  0.3724 [4 per cell]  6 As 2.55-2.60

Values from the calculation:
The total energy is -0.59238 Ry/atom. The calculation puts the density at 11.06 Mg/m³.

Entry from the Materials Project database: crystalline CsAs2Ir2 at its relaxed geometry (PBE).

abc: 4.0697 4.0697 14.9746
angles: 90.00 90.00 90.00
Last column: nearest neighbours and their distance in Å.
Space group I4/mmm (No. 139)
Asymmetric unit:
Cs  0.0000  0.0000  0.0000 [2 per cell]  8 As 3.71, 4 Cs 4.07
As  0.0000  0.0000  0.3432 [4 per cell]  4 Ir 2.47
Ir  0.0000  0.5000  0.2500 [4 per cell]  4 As 2.47

Values from the calculation:
The total energy is -0.44424 Ry/atom. The calculation puts the density at 8.93 Mg/m³.

Entry from the Materials Project database: crystalline Rb3La3B4O12 at its relaxed geometry (PBE).

abc: 11.1396 9.4091 14.6600
angles: 90.00 110.63 90.00
Last column: nearest neighbours and their distance in Å.
Space group P2/c (No. 13)
Asymmetric unit:
Rb  0.0817  0.1451  0.4149 [4 per cell]  6 O 2.91-3.19, 1 B 3.25
Rb  0.3005  0.4359  0.9037 [4 per cell]  4 O 2.90-3.03, 1 B 3.16
Rb  0.3900  0.0774  0.0419 [4 per cell]  6 O 2.83-3.13
La  0.0000  0.1933  0.7500 [2 per cell]  5 O 2.31-2.48
La  0.1666  0.4696  0.6195 [4 per cell]  6 O 2.36-2.61
La  0.2899  0.1985  0.2542 [4 per cell]  6 O 2.35-2.57
La  0.5000  0.2623  0.7500 [2 per cell]  4 O 2.42-2.51
B  0.0000  0.4147  0.2500 [2 per cell]  3 O 1.38-1.39
B  0.1254  0.2627  0.9932 [4 per cell]  3 O 1.37-1.40
B  0.2386  0.1063  0.7223 [4 per cell]  3 O 1.38-1.41
B  0.3827  0.2654  0.5203 [4 per cell]  3 O 1.38-1.40
B  0.5000  0.4041  0.2500 [2 per cell]  3 O 1.39-1.40
O  0.0000  0.4388  0.7500 [2 per cell]  1 B 1.38
O  0.0329  0.3692  0.9748 [4 per cell]  1 B 1.39
O  0.1000  0.3447  0.2325 [4 per cell]  1 B 1.39
O  0.1232  0.1608  0.9262 [4 per cell]  1 B 1.37
O  0.1464  0.0086  0.7297 [4 per cell]  1 B 1.41
O  0.2149  0.2512  0.7232 [4 per cell]  1 B 1.39
O  0.2243  0.2744  0.0842 [4 per cell]  1 B 1.40
O  0.2978  0.3471  0.5499 [4 per cell]  1 B 1.40
O  0.3454  0.2172  0.4240 [4 per cell]  1 B 1.40
O  0.3515  0.0523  0.7174 [4 per cell]  1 B 1.38
O  0.3906  0.4762  0.2497 [4 per cell]  1 B 1.39
O  0.4979  0.2300  0.9133 [4 per cell]  1 B 1.38
O  0.5000  0.2549  0.2500 [2 per cell]  1 B 1.40

Values from the calculation:
The total energy is -0.54961 Ry/atom. The size of the total moment comes out at 0.0 μB per cell. The calculation puts the density at 4.20 Mg/m³.

Entry from the Materials Project database: crystalline BaGa2O4 at its relaxed geometry (PBE).

abc: 5.5140 6.7348 8.3337
angles: 82.94 71.99 65.99
Last column: nearest neighbours and their distance in Å.
Space group P1 (No. 1)
Asymmetric unit:
Ba  0.0000  0.0000  0.0000 [1 per cell]  4 O 2.57-2.63
Ba  0.0515  0.8917  0.5002 [1 per cell]  4 O 2.57-2.82
Ga  0.2710  0.4209  0.8067 [1 per cell]  4 O 1.81-1.99
Ga  0.2995  0.4203  0.1926 [1 per cell]  4 O 1.81-1.98
Ga  0.7112  0.4302  0.3761 [1 per cell]  3 O 1.76-1.93
Ga  0.8494  0.4314  0.6235 [1 per cell]  3 O 1.76-1.93
O  0.0226  0.3107  0.7778 [1 per cell]  2 Ga 1.76-1.89
O  0.0905  0.2916  0.3827 [1 per cell]  3 Ga 1.93-2.12
O  0.1101  0.7124  0.7835 [1 per cell]  1 Ga 1.81
O  0.1705  0.7118  0.2158 [1 per cell]  1 Ga 1.81
O  0.3569  0.2762  0.9993 [1 per cell]  2 Ga 1.86
O  0.6092  0.2918  0.6161 [1 per cell]  3 Ga 1.93-2.11
O  0.6577  0.3100  0.2213 [1 per cell]  2 Ga 1.76-1.89
O  0.6612  0.6692  0.5000 [1 per cell]  2 Ga 1.90

Values from the calculation:
The total energy is -0.43562 Ry/atom. The size of the total moment comes out at 0.0 μB per cell. The calculation puts the density at 4.21 Mg/m³.

Entry from the Materials Project database: crystalline Sr3Ir2O7 at its relaxed geometry (PBE).

abc: 5.4990 5.8037 10.7126
angles: 90.00 104.17 90.00
Last column: nearest neighbours and their distance in Å.
Space group C2/m (No. 12)
Asymmetric unit:
Sr  0.0000  0.0000  0.0000 [2 per cell]  8 O 2.64-2.90
Sr  0.1949  0.0000  0.3700 [4 per cell]  4 O 2.47-2.71
Ir  0.1025  0.5000  0.1966 [4 per cell]  6 O 2.00-2.04
O  0.0000  0.5000  0.0000 [2 per cell]  2 Ir 2.04
O  0.1098  0.2198  0.8055 [8 per cell]  2 Ir 2.00-2.04
O  0.1960  0.5000  0.3920 [4 per cell]  1 Ir 2.03

Values from the calculation:
The total energy is -0.48046 Ry/atom. The size of the total moment comes out at 1.5 μB per cell. The calculation puts the density at 7.61 Mg/m³.

Entry from the Materials Project database: crystalline HoInGe2O7 at its relaxed geometry (PBE).

abc: 6.8884 9.0890 9.9821
angles: 90.00 101.94 90.00
Last column: nearest neighbours and their distance in Å.
Space group C2 (No. 5)
Asymmetric unit:
Ho  0.0012  0.0000  0.2455 [4 per cell]  6 O 2.22-2.38
In  0.0004  0.6145  0.2529 [4 per cell]  6 O 2.18-2.26
Ge  0.2272  0.2968  0.9540 [4 per cell]  4 O 1.77-1.78
Ge  0.2326  0.3066  0.4537 [4 per cell]  4 O 1.76-1.78
O  0.0000  0.2443  0.0000 [2 per cell]  2 Ge 1.78
O  0.0000  0.2964  0.5000 [2 per cell]  2 Ge 1.76
O  0.0950  0.8077  0.3876 [4 per cell]  1 Ge 1.77
O  0.1003  0.8061  0.8885 [4 per cell]  1 Ge 1.77
O  0.2204  0.4608  0.8563 [4 per cell]  1 Ge 1.78
O  0.2376  0.4702  0.3574 [4 per cell]  1 Ge 1.78
O  0.2431  0.1466  0.3522 [4 per cell]  1 Ge 1.78
O  0.2469  0.6403  0.1471 [4 per cell]  1 Ge 1.78

Values from the calculation:
The total energy is -0.49826 Ry/atom. The size of the total moment comes out at 0.0 μB per cell. The calculation puts the density at 5.83 Mg/m³.

Entry from the Materials Project database: crystalline Na2Nb2In2Si3S3O24 at its relaxed geometry (PBE).

abc: 8.9265 8.9464 23.0904
angles: 90.33 90.43 119.64
Last column: nearest neighbours and their distance in Å.
Space group P1 (No. 1)
Asymmetric unit:
Na  0.0000  0.0000  0.0000 [1 per cell]  2 O 2.33-2.40
Na  0.0245  0.0004  0.5026 [1 per cell]  3 O 2.41-2.70
Na  0.3364  0.6673  0.6674 [1 per cell]  2 O 2.34-2.39
Na  0.3687  0.6767  0.1740 [1 per cell]  3 O 2.37-2.58
Na  0.6638  0.3450  0.3450 [1 per cell]  4 O 2.43-2.64
Na  0.7033  0.3480  0.8350 [1 per cell]  1 O 2.28
Nb  0.0212  0.0215  0.1551 [1 per cell]  6 O 1.91-2.10
Nb  0.0303  0.0326  0.6503 [1 per cell]  4 O 1.87-2.03
Nb  0.3458  0.6918  0.8216 [1 per cell]  4 O 1.89-2.06
Nb  0.3600  0.6804  0.3273 [1 per cell]  4 O 1.84-2.02
Nb  0.6742  0.3635  0.4890 [1 per cell]  4 O 1.88-2.00
Nb  0.7018  0.3709  0.9832 [1 per cell]  4 O 1.87-2.05
In  0.0091  0.0182  0.8619 [1 per cell]  5 O 2.00-2.23
In  0.0347  0.0192  0.3642 [1 per cell]  5 O 2.00-2.20
In  0.3570  0.6882  0.5296 [1 per cell]  6 O 2.02-2.23
In  0.3659  0.6960  0.0264 [1 per cell]  4 O 2.00-2.19
In  0.6745  0.3586  0.1957 [1 per cell]  4 O 1.98-2.19
In  0.7046  0.3665  0.6928 [1 per cell]  5 O 2.00-2.24
Si  0.0182  0.3097  0.7609 [1 per cell]  4 O 1.58-1.71
Si  0.0742  0.6989  0.9282 [1 per cell]  4 O 1.58-1.72
Si  0.3131  0.3148  0.2615 [1 per cell]  4 O 1.57-1.72
Si  0.3625  0.9820  0.4291 [1 per cell]  4 O 1.57-1.74
Si  0.4024  0.3609  0.5963 [1 per cell]  4 O 1.58-1.70
Si  0.6479  0.9790  0.9280 [1 per cell]  4 O 1.58-1.70
Si  0.6548  0.6954  0.4291 [1 per cell]  4 O 1.56-1.73
Si  0.6820  0.6457  0.0935 [1 per cell]  4 O 1.58-1.70
Si  0.9858  0.6454  0.5943 [1 per cell]  4 O 1.57-1.70
S  0.0264  0.7294  0.2573 [1 per cell]  4 O 1.46-1.53
S  0.0584  0.3966  0.4254 [1 per cell]  4 O 1.45-1.55
S  0.3106  0.0195  0.7596 [1 per cell]  4 O 1.46-1.54
S  0.3578  0.3979  0.9258 [1 per cell]  4 O 1.46-1.53
S  0.3930  0.0619  0.0940 [1 per cell]  4 O 1.47-1.54
S  0.6915  0.0660  0.5938 [1 per cell]  4 O 1.46-1.54
S  0.7245  0.7274  0.7598 [1 per cell]  4 O 1.47-1.52
S  0.7289  0.0177  0.2582 [1 per cell]  4 O 1.45-1.54
S  0.9735  0.3494  0.0941 [1 per cell]  4 O 1.46-1.53
O  0.0073  0.2097  0.8186 [1 per cell]  1 Si 1.58
O  0.0313  0.2238  0.4169 [1 per cell]  1 S 1.45
O  0.0395  0.8386  0.2049 [1 per cell]  1 S 1.53
O  0.0422  0.2077  0.7034 [1 per cell]  1 Si 1.68
O  0.0444  0.8579  0.9192 [1 per cell]  1 Si 1.59
O  0.1481  0.4958  0.0889 [1 per cell]  1 S 1.47
O  0.1533  0.5081  0.3722 [1 per cell]  1 S 1.55
O  0.1613  0.4697  0.4779 [1 per cell]  1 S 1.46
O  0.1626  0.6602  0.8698 [1 per cell]  1 Si 1.68
O  0.1679  0.7051  0.9873 [1 per cell]  1 Si 1.58
O  0.1792  0.6897  0.5871 [1 per cell]  1 Si 1.58
O  0.1869  0.2075  0.2021 [1 per cell]  1 Si 1.72, 1 Nb 1.91
O  0.1921  0.7284  0.2604 [1 per cell]  1 S 1.48
O  0.2018  0.5040  0.7685 [1 per cell]  1 Si 1.71
O  0.2017  0.9915  0.7070 [1 per cell]  1 S 1.49
O  0.2068  0.0206  0.4229 [1 per cell]  1 Si 1.60
O  0.2091  0.1764  0.6011 [1 per cell]  1 Si 1.70, 1 Nb 1.87
O  0.2166  0.0518  0.1005 [1 per cell]  1 S 1.54
O  0.2168  0.2026  0.3154 [1 per cell]  1 Si 1.57
O  0.2194  0.2209  0.9186 [1 per cell]  1 S 1.46
O  0.2322  0.0373  0.8126 [1 per cell]  1 S 1.46
O  0.3218  0.8532  0.7638 [1 per cell]  1 S 1.54
O  0.3230  0.5067  0.2645 [1 per cell]  1 Si 1.68
O  0.3300  0.4666  0.9796 [1 per cell]  1 S 1.46
O  0.3311  0.8652  0.4833 [1 per cell]  1 Si 1.57
O  0.3571  0.8836  0.0902 [1 per cell]  1 S 1.47
O  0.3677  0.5173  0.5893 [1 per cell]  1 Si 1.58
O  0.3782  0.8742  0.3682 [1 per cell]  1 Si 1.74, 1 Nb 1.90
O  0.3847  0.5074  0.8746 [1 per cell]  1 S 1.48
O  0.4728  0.1670  0.0426 [1 per cell]  1 S 1.47
O  0.4853  0.1635  0.7546 [1 per cell]  1 S 1.46
O  0.4889  0.3252  0.5363 [1 per cell]  1 Si 1.69, 1 Nb 1.88
O  0.4943  0.1345  0.1475 [1 per cell]  1 S 1.47
O  0.5028  0.3686  0.6539 [1 per cell]  1 Si 1.58
O  0.5039  0.3367  0.2583 [1 per cell]  1 Si 1.62
O  0.5150  0.6695  0.0896 [1 per cell]  1 Si 1.61
O  0.5205  0.8778  0.8702 [1 per cell]  1 Si 1.69
O  0.5237  0.6563  0.3690 [1 per cell]  1 Si 1.73, 1 Nb 1.84
O  0.5251  0.3902  0.9314 [1 per cell]  1 S 1.53
O  0.5490  0.1670  0.4332 [1 per cell]  1 Si 1.67
O  0.5487  0.8897  0.5895 [1 per cell]  1 S 1.46
O  0.5517  0.7198  0.7658 [1 per cell]  1 S 1.52
O  0.5551  0.8586  0.2607 [1 per cell]  1 S 1.50
O  0.5680  0.7140  0.4852 [1 per cell]  1 Si 1.56
O  0.5749  0.8725  0.9853 [1 per cell]  1 Si 1.58
O  0.6509  0.1693  0.9377 [1 per cell]  1 Si 1.70
O  0.6632  0.5125  0.4314 [1 per cell]  1 Si 1.68
O  0.6664  0.5430  0.1508 [1 per cell]  1 Si 1.58
O  0.6712  0.1390  0.6478 [1 per cell]  1 S 1.46
O  0.6907  0.5491  0.7561 [1 per cell]  1 S 1.47
O  0.7101  0.5442  0.0363 [1 per cell]  1 Si 1.69
O  0.7106  0.1710  0.2495 [1 per cell]  1 S 1.47
O  0.7166  0.1713  0.5422 [1 per cell]  1 S 1.47
O  0.8092  0.8321  0.7085 [1 per cell]  1 S 1.48
O  0.8160  0.9921  0.2050 [1 per cell]  1 S 1.54
O  0.8258  0.7988  0.8135 [1 per cell]  1 S 1.47
O  0.8291  0.0402  0.3107 [1 per cell]  1 S 1.45
O  0.8388  0.8575  0.4169 [1 per cell]  1 Si 1.59
O  0.8433  0.0231  0.9228 [1 per cell]  1 Si 1.59
O  0.8530  0.3372  0.7569 [1 per cell]  1 Si 1.61
O  0.8537  0.5421  0.5366 [1 per cell]  1 Si 1.70
O  0.8568  0.0533  0.5984 [1 per cell]  1 S 1.54
O  0.8635  0.8391  0.1020 [1 per cell]  1 Si 1.70
O  0.8654  0.3230  0.0407 [1 per cell]  1 S 1.50
O  0.8782  0.5150  0.9336 [1 per cell]  1 Si 1.72, 1 Nb 1.87
O  0.8842  0.5516  0.2501 [1 per cell]  1 S 1.47
O  0.8928  0.3670  0.1465 [1 per cell]  1 S 1.46
O  0.8927  0.3946  0.4265 [1 per cell]  1 S 1.47
O  0.9141  0.5402  0.6517 [1 per cell]  1 Si 1.57
O  0.9831  0.8333  0.6032 [1 per cell]  1 Si 1.70
O  0.9854  0.1850  0.0986 [1 per cell]  1 S 1.53
O  0.9917  0.7996  0.3094 [1 per cell]  1 S 1.46

Values from the calculation:
The total energy is -0.50431 Ry/atom. The size of the total moment comes out at 0.0 μB per cell. The calculation puts the density at 3.19 Mg/m³.